Density functional theory data (PBE+U) for crystalline Li3CoOF3 at its relaxed geometry.

abc: 5.140 5.140 10.205
angles: 79.37 79.37 33.77
Fractional coordinates of all 16 atoms:
F 0.124 0.125 0.062
F 0.370 0.380 0.182
O 0.861 0.893 0.435
Li 0.500 0.500 0.000
F 0.875 0.876 0.938
O 0.107 0.139 0.565
F 0.639 0.622 0.300
Li 0.492 0.508 0.500
F 0.620 0.630 0.818
Li 0.751 0.751 0.119
Co 0.260 0.251 0.387
Li 0.000 0.001 0.746
Co 0.749 0.740 0.613
Li 0.249 0.249 0.881
F 0.378 0.361 0.700
Li 0.999 0.000 0.254

Computed properties:
Energy of formation from the pure elements, eV/atom: -2.595
Total energy, eV/atom: -5.072
MP2020-corrected energy, eV/atom: -5.5357
Space group: C2 (5)
Size of the total moment, μB/f.u.: 3.000
Distance to the lowest polymorph of the same formula, meV per atom: 42